DFT (PBE) results for crystalline Rb3EuCl6 at its relaxed geometry.

```
40
Lattice="7.140 -3.736 0.885 -4.873 -6.949 9.984 -6.586 -6.273 -10.467" Properties=species:S:1:pos:R:3 pbc="T T T"
Cl -4.698 -10.101 3.150
Cl -3.936 -6.406 1.800
Cl -0.542 -11.123 2.432
Cl 0.379 -6.856 -2.748
Cl -3.504 -5.936 5.778
Cl -6.310 -13.072 -0.573
Cl -5.169 -9.241 -0.845
Cl -3.409 -12.106 -2.985
Cl 1.991 -3.885 0.975
Cl 0.265 -7.731 6.055
Cl -0.939 -3.224 -3.122
Cl -2.051 -6.123 -5.752
Cl -0.384 -10.551 -1.398
Cl -3.380 -13.733 3.524
Cl -4.935 -6.558 -8.468
Cl -4.584 -9.226 -5.653
Cl -2.268 -10.834 6.154
Cl -2.759 -14.754 -0.323
Cl -0.815 -11.021 -5.376
Cl -3.777 -5.834 -2.030
Cl 0.850 -7.716 1.247
Cl -1.561 -2.204 0.725
Cl -0.910 -4.852 3.386
Cl 0.616 -10.399 8.870
Rb 2.920 -6.598 3.983
Rb -2.480 -8.792 -3.226
Rb -5.259 -5.738 -5.053
Rb -1.291 -8.722 -8.137
Rb -1.840 -8.165 3.628
Rb -7.239 -10.359 -3.581
Rb 3.266 -6.087 -1.033
Rb -3.222 -11.553 0.494
Rb -1.098 -5.404 -0.092
Rb -3.028 -8.235 8.539
Rb 0.940 -11.219 5.455
Rb -7.585 -10.870 1.435
Eu 0.277 -5.004 -4.791
Eu 0.335 -2.550 2.689
Eu 1.932 -8.134 8.180
Eu -5.730 -6.611 -0.242
```

## Properties
Calculated formation energy (meV per atom): -2317
Theoretical density (kg/m³): 2970
SG: No. 15